{"formula": "CuP2O6", "functional": "PBE", "state": "relaxed", "cell": [[6.570, -4.062, 0.000], [6.570, 4.062, 0.000], [-4.596, 0.000, 8.474]], "species": ["Cu", "Cu", "Cu", "Cu", "P", "P", "P", "P", "P", "P", "P", "P", "O", "O", "O", "O", "O", "O", "O", "O", "O", "O", "O", "O", "O", "O", "O", "O", "O", "O", "O", "O", "O", "O", "O", "O"], "frac_coords": [[0.000, 0.500, 0.500], [0.053, 0.947, 0.750], [0.500, 0.000, 0.000], [0.947, 0.053, 0.250], [0.246, 0.733, 0.023], [0.267, 0.754, 0.477], [0.312, 0.320, 0.307], [0.320, 0.312, 0.807], [0.680, 0.688, 0.193], [0.688, 0.680, 0.693], [0.733, 0.246, 0.523], [0.754, 0.267, 0.977], [0.070, 0.844, 0.089], [0.134, 0.316, 0.333], [0.156, 0.930, 0.411], [0.196, 0.733, 0.593], [0.206, 0.345, 0.648], [0.248, 0.504, 0.947], [0.267, 0.804, 0.907], [0.290, 0.550, 0.335], [0.316, 0.134, 0.833], [0.345, 0.206, 0.148], [0.450, 0.710, 0.165], [0.496, 0.752, 0.553], [0.504, 0.248, 0.447], [0.550, 0.290, 0.835], [0.655, 0.794, 0.852], [0.684, 0.866, 0.167], [0.710, 0.450, 0.665], [0.733, 0.196, 0.093], [0.752, 0.496, 0.053], [0.794, 0.655, 0.352], [0.804, 0.267, 0.407], [0.844, 0.070, 0.589], [0.866, 0.684, 0.667], [0.930, 0.156, 0.911]], "density_g_cm3": 3.253, "sg": "C2/c", "e_above_lowest_polymorph_mev_per_atom": 0, "formation_enthalpy_0k_ev_per_atom": -2.23}